(1)
Sr2PdAu after structural relaxation, computed with GGA-PBE.

ΔE_f (eV per atom): -0.65
Energy (eV/atom): -3.610

The structure in CIF format:
```
data_Sr2PdAu
_chemical_formula_sum 'Sr8 Pd4 Au4'
_cell_length_a 7.637
_cell_length_b 7.637
_cell_length_c 7.637
_cell_angle_alpha 90.00
_cell_angle_beta 90.00
_cell_angle_gamma 90.00
_symmetry_space_group_name_H-M 'F m -3 m'
_symmetry_Int_Tables_number 225
_symmetry_space_group_name_Hall '-F 4 2 3'
loop_
_atom_site_label
_atom_site_type_symbol
_atom_site_fract_x
_atom_site_fract_y
_atom_site_fract_z
Sr1 Sr 0.250 0.250 0.250
Pd1 Pd 0.000 0.000 0.000
Au1 Au 0.000 0.000 0.500
```

***

(2)
TlPd2Au after structural relaxation, computed with GGA-PBE.

ΔE_f (eV per atom): -0.17
Energy (eV/atom): -4.170

The structure in CIF format:
```
data_TlPd2Au
_chemical_formula_sum 'Tl4 Pd8 Au4'
_cell_length_a 6.590
_cell_length_b 6.590
_cell_length_c 6.590
_cell_angle_alpha 90.00
_cell_angle_beta 90.00
_cell_angle_gamma 90.00
_symmetry_space_group_name_H-M 'F m -3 m'
_symmetry_Int_Tables_number 225
_symmetry_space_group_name_Hall '-F 4 2 3'
loop_
_atom_site_label
_atom_site_type_symbol
_atom_site_fract_x
_atom_site_fract_y
_atom_site_fract_z
Tl1 Tl 0.000 0.000 0.000
Pd1 Pd 0.250 0.250 0.250
Au1 Au 0.000 0.000 0.500
```

***

(3)
Tm2PdAu after structural relaxation, computed with GGA-PBE.

ΔE_f (eV per atom): -0.92
Energy (eV/atom): -5.268

The structure in CIF format:
```
data_Tm2PdAu
_chemical_formula_sum 'Tm8 Pd4 Au4'
_cell_length_a 7.013
_cell_length_b 7.013
_cell_length_c 7.013
_cell_angle_alpha 90.00
_cell_angle_beta 90.00
_cell_angle_gamma 90.00
_symmetry_space_group_name_H-M 'F m -3 m'
_symmetry_Int_Tables_number 225
_symmetry_space_group_name_Hall '-F 4 2 3'
loop_
_atom_site_label
_atom_site_type_symbol
_atom_site_fract_x
_atom_site_fract_y
_atom_site_fract_z
Tm1 Tm 0.250 0.250 0.250
Pd1 Pd 0.000 0.000 0.000
Au1 Au 0.000 0.000 0.500
```